[1]
DFT (PBE-GGA) results for a relaxed LaSi2Pd2 crystal.

Values from the calculation:
**Crystal system**: tetragonal
**SG**: I4/mmm

POSCAR file:
```
LaSi2Pd2
1.0
-2.1530 2.1530 4.9909
2.1530 -2.1530 4.9909
2.1530 2.1530 -4.9909
La Si Pd
1 2 2
Direct
0.0000 0.0000 0.0000
0.3796 0.3796 0.0000
0.6204 0.6204 0.0000
0.2500 0.7500 0.5000
0.7500 0.2500 0.5000
```

[2]
DFT (PBE-GGA) results for a relaxed PrMgAl7Fe2 crystal.

Values from the calculation:
**Crystal system**: orthorhombic
**SG**: Pbam

POSCAR file:
```
PrMgAl7Fe2
1.0
12.9708 0.0000 0.0000
0.0000 14.5074 0.0000
0.0000 0.0000 4.0123
Pr Mg Al Fe
4 4 28 8
Direct
0.1604 0.1807 0.0000
0.3396 0.6807 0.0000
0.6604 0.3193 0.0000
0.8396 0.8193 0.0000
0.1680 0.4522 0.0000
0.3320 0.9522 0.0000
0.6680 0.0478 0.0000
0.8320 0.5478 0.0000
0.0000 0.0000 0.0000
0.0000 0.5000 0.5000
0.0248 0.8666 0.5000
0.0482 0.3218 0.5000
0.0935 0.7450 0.0000
0.1572 0.6203 0.5000
0.1652 0.0056 0.5000
0.2290 0.8264 0.5000
0.2710 0.3264 0.5000
0.3348 0.5056 0.5000
0.3428 0.1203 0.5000
0.4065 0.2450 0.0000
0.4518 0.8218 0.5000
0.4752 0.3666 0.5000
0.5000 0.0000 0.5000
0.5000 0.5000 0.0000
0.5248 0.6334 0.5000
0.5482 0.1782 0.5000
0.5935 0.7550 0.0000
0.6572 0.8797 0.5000
0.6652 0.4944 0.5000
0.7290 0.6736 0.5000
0.7710 0.1736 0.5000
0.8348 0.9944 0.5000
0.8428 0.3797 0.5000
0.9065 0.2550 0.0000
0.9518 0.6782 0.5000
0.9752 0.1334 0.5000
0.0339 0.5915 0.0000
0.1394 0.8992 0.0000
0.3606 0.3992 0.0000
0.4661 0.0915 0.0000
0.5339 0.9085 0.0000
0.6394 0.6008 0.0000
0.8606 0.1008 0.0000
0.9661 0.4085 0.0000
```

[3]
DFT (PBE-GGA) results for a relaxed YZrCo6 crystal.

Values from the calculation:
**Crystal system**: trigonal
**SG**: R3m

POSCAR file:
```
YZrCo6
1.0
2.4257 1.4005 16.1592
-2.4257 1.4005 16.1592
0.0000 -2.8009 16.1592
Y Zr Co
3 3 18
Direct
0.0000 0.0000 0.0000
0.1396 0.1396 0.1396
0.5006 0.5006 0.5006
0.0699 0.0699 0.0699
0.5704 0.5704 0.5704
0.6383 0.6383 0.6383
0.0291 0.5299 0.5299
0.0300 0.0300 0.5322
0.0300 0.5322 0.0300
0.1085 0.6104 0.6104
0.1113 0.1113 0.6098
0.1113 0.6098 0.1113
0.2372 0.2372 0.2372
0.3199 0.3199 0.3199
0.4031 0.4031 0.4031
0.5299 0.0291 0.5299
0.5299 0.5299 0.0291
0.5322 0.0300 0.0300
0.6104 0.1085 0.6104
0.6098 0.1113 0.1113
0.6104 0.6104 0.1085
0.7363 0.7363 0.7363
0.8201 0.8201 0.8201
0.9042 0.9042 0.9042
```

Computed E_tot, in the same sequence as the records: -30.8; -213.7; -176.8 eV/cell.
Computed ΔE_f, in the same sequence as the records: -0.940; -0.354; -0.158 eV per atom.